[1]
DFT (PBE-GGA) results for a relaxed structure of CrAgP2S6.

abc: 10.6798 5.9697 7.3676
angles: 75.43 90.00 90.00
Last column: nearest neighbours and their distance in Å.
Atoms (fractional coordinates):
P: 0.2444 0.7073 0.1556  3 S 1.98-2.13
P: 0.7556 0.2073 0.1556  3 S 1.98-2.13
P: 0.7556 0.2927 0.8444  3 S 1.98-2.13
P: 0.2444 0.7927 0.8444  3 S 1.98-2.13
Ag: 0.4387 0.2500 0.0000  6 S 2.74-2.88
Ag: 0.5613 0.7500 0.0000  6 S 2.74-2.88
S: 0.2310 0.4792 0.7814  1 P 2.04
S: 0.0743 0.5159 0.2042  1 P 2.13
S: 0.3931 0.5241 0.2630  1 P 1.98
S: 0.7690 0.5208 0.2186  1 P 2.04
S: 0.6069 0.0241 0.2630  1 P 1.98
S: 0.0743 0.9841 0.7958  1 P 2.13
S: 0.2310 0.0208 0.2186  1 P 2.04
S: 0.6069 0.4759 0.7370  1 P 1.98
S: 0.3931 0.9759 0.7370  1 P 1.98
S: 0.9257 0.4841 0.7958  1 P 2.13
S: 0.9257 0.0159 0.2042  1 P 2.13
S: 0.7690 0.9792 0.7814  1 P 2.04
Cr: 0.0822 0.2500 0.0000  6 S 2.43-2.45
Cr: 0.9178 0.7500 0.0000  6 S 2.43-2.45

Values from the calculation:
Space group: No. 13
Corrected total energy (MP2020 scheme) in eV per atom: -5.462
E_form in eV/atom: -0.648

[2]
DFT (PBE-GGA) results for a relaxed structure of CrAgS2.

abc: 6.0947 6.9656 7.9961
angles: 115.98 104.63 89.97
Last column: nearest neighbours and their distance in Å.
Atoms (fractional coordinates):
S: 0.7701 0.6532 0.8147  3 Cr 2.39-2.40, 1 Ag 2.44
S: 0.2702 0.9102 0.8149  3 Cr 2.39-2.40, 1 Ag 2.44
S: 0.2334 0.8456 0.1963  3 Cr 2.43-2.44
S: 0.2334 0.3456 0.1962  3 Cr 2.43-2.44
S: 0.7335 0.6011 0.1965  3 Cr 2.43-2.44, 1 Ag 2.70
S: 0.7702 0.1532 0.8147  3 Cr 2.39-2.40, 1 Ag 2.44
S: 0.7335 0.1011 0.1964  3 Cr 2.43-2.44, 1 Ag 2.70
S: 0.2702 0.4102 0.8149  3 Cr 2.39, 1 Ag 2.44
Cr: 0.0000 0.4957 0.0002  6 S 2.39-2.44
Cr: 0.5002 0.2538 0.0001  6 S 2.39-2.44
Cr: 0.0000 0.9957 0.0002  6 S 2.39-2.44
Cr: 0.5001 0.7538 0.0001  6 S 2.39-2.44
Ag: 0.6531 0.4799 0.4615  3 S 2.44-2.73
Ag: 0.6531 0.9799 0.4615  3 S 2.44-2.73
Ag: 0.1533 0.2311 0.4616  3 S 2.44-2.73
Ag: 0.1533 0.7311 0.4616  3 S 2.44-2.73

Values from the calculation:
Corrected total energy (MP2020 scheme) in eV per atom: -5.918
M_tot in μB/f.u.: 0.00
E_form in eV/atom: -0.728

[3]
DFT (PBE-GGA) results for a relaxed structure of CrAgS2.

abc: 9.3712 9.3712 9.3712
angles: 18.41 18.41 18.41
Last column: nearest neighbours and their distance in Å.
Atoms (fractional coordinates):
S: 0.8638 0.8638 0.8638  3 Cr 2.28
S: 0.7569 0.7569 0.7569  3 Cr 2.27
Ag: 0.9755 0.9755 0.9755  6 Ag 3.00, 1 S 3.09
Cr: 0.1437 0.1437 0.1437  6 S 2.27-2.28

Values from the calculation:
Space group: No. 160
Corrected total energy (MP2020 scheme) in eV per atom: -5.789
M_tot in μB/f.u.: 0.00
E_form in eV/atom: -0.600

[4]
DFT (PBE-GGA) results for a relaxed structure of Cr5AgS8.

abc: 6.9457 6.0582 12.6207
angles: 81.21 90.00 90.00
Last column: nearest neighbours and their distance in Å.
Atoms (fractional coordinates):
Cr: 0.2500 0.0621 0.7801  6 S 2.40-2.50
Cr: 0.5000 0.5000 0.0000  6 S 2.43-2.45
Cr: 0.2500 0.9354 0.2228  6 S 2.38-2.49
Cr: 0.7500 0.9379 0.2199  6 S 2.40-2.50
Cr: 0.7500 0.0646 0.7772  6 S 2.38-2.49
Cr: 0.0021 0.5891 0.7619  6 S 2.32-2.56
Cr: 0.0000 0.5000 0.0000  6 S 2.43-2.45
Cr: 0.9979 0.4109 0.2381  6 S 2.32-2.56
Cr: 0.5021 0.4109 0.2381  6 S 2.32-2.56
Cr: 0.4979 0.5891 0.7619  6 S 2.32-2.56
Ag: 0.2500 0.1615 0.5302  4 S 2.44-2.67
Ag: 0.7500 0.8385 0.4698  4 S 2.44-2.67
S: 0.2500 0.7812 0.6643  3 Cr 2.32-2.41
S: 0.7500 0.7820 0.6656  3 Cr 2.34-2.38, 1 Ag 2.44
S: 0.4986 0.1418 0.1169  4 Cr 2.40-2.43
S: 0.5007 0.7312 0.3245  3 Cr 2.37-2.41
S: 0.9993 0.7312 0.3245  3 Cr 2.37-2.41
S: 0.2500 0.6241 0.1144  5 Cr 2.45-2.56
S: 0.0007 0.2688 0.6755  3 Cr 2.37-2.41
S: 0.7500 0.2188 0.3357  3 Cr 2.32-2.41
S: 0.4993 0.2688 0.6755  3 Cr 2.37-2.41
S: 0.0014 0.1418 0.1169  4 Cr 2.40-2.43
S: 0.7500 0.6231 0.1134  5 Cr 2.44-2.54
S: 0.2500 0.2180 0.3344  3 Cr 2.34-2.38, 1 Ag 2.44
S: 0.2500 0.3769 0.8866  5 Cr 2.44-2.54
S: 0.7500 0.3759 0.8856  5 Cr 2.45-2.56
S: 0.9986 0.8582 0.8831  4 Cr 2.40-2.43
S: 0.5014 0.8582 0.8831  4 Cr 2.40-2.43

Values from the calculation:
Space group: No. 11
Corrected total energy (MP2020 scheme) in eV per atom: -6.921
M_tot in μB/f.u.: 15.00
E_form in eV/atom: -0.907

[5]
DFT (PBE-GGA) results for a relaxed structure of CrAgS2.

abc: 6.0879 6.9616 7.1990
angles: 104.00 81.54 90.04
Last column: nearest neighbours and their distance in Å.
Atoms (fractional coordinates):
S: 0.6348 0.5457 0.1965  3 Cr 2.43-2.44, 1 Ag 2.70
S: 0.6348 0.0457 0.1966  3 Cr 2.43-2.44, 1 Ag 2.70
S: 0.8639 0.2076 0.8144  3 Cr 2.39-2.40, 1 Ag 2.43
S: 0.1346 0.8026 0.1966  3 Cr 2.43-2.44, 1 Ag 2.70
S: 0.8640 0.7076 0.8145  3 Cr 2.39-2.40, 1 Ag 2.43
S: 0.3641 0.9494 0.8143  3 Cr 2.39-2.40, 1 Ag 2.43
S: 0.3641 0.4493 0.8144  3 Cr 2.39-2.40, 1 Ag 2.43
S: 0.1347 0.3026 0.1967  3 Cr 2.43-2.44, 1 Ag 2.70
Cr: 0.0004 0.0050 0.9997  6 S 2.39-2.44
Cr: 0.5001 0.2449 0.9999  6 S 2.39-2.44
Cr: 0.0003 0.5048 0.9999  6 S 2.39-2.44
Cr: 0.5001 0.7450 0.9999  6 S 2.39-2.44
Ag: 0.4234 0.3659 0.4620  2 S 2.43-2.70
Ag: 0.9239 0.1154 0.4620  2 S 2.43-2.70
Ag: 0.4234 0.8658 0.4619  2 S 2.43-2.70
Ag: 0.9238 0.6154 0.4621  2 S 2.43-2.70

Values from the calculation:
Corrected total energy (MP2020 scheme) in eV per atom: -5.918
M_tot in μB/f.u.: 0.00
E_form in eV/atom: -0.728

[6]
DFT (PBE-GGA) results for a relaxed structure of CrAgS2.

abc: 7.4635 7.4635 7.4635
angles: 26.54 26.54 26.54
Last column: nearest neighbours and their distance in Å.
Atoms (fractional coordinates):
Ag: 0.0140 0.0140 0.0140  4 S 2.46-2.72
S: 0.1280 0.1280 0.1280  3 Cr 2.39, 1 Ag 2.46
S: 0.2607 0.2607 0.2607  3 Cr 2.49, 3 Ag 2.72
Cr: 0.8572 0.8572 0.8572  6 S 2.39-2.49

Values from the calculation:
Space group: No. 160
Corrected total energy (MP2020 scheme) in eV per atom: -5.722
M_tot in μB/f.u.: 2.99
E_form in eV/atom: -0.532

[7]
DFT (PBE-GGA) results for a relaxed structure of Cr2AgS4.

abc: 3.4942 11.6443 11.9398
angles: 90.00 90.00 90.00
Last column: nearest neighbours and their distance in Å.
Atoms (fractional coordinates):
S: 0.2500 0.9650 0.3832  4 Cr 2.42-2.48
S: 0.2500 0.7357 0.0402  3 Cr 2.37-2.42
S: 0.7500 0.2101 0.2480  3 Cr 2.40-2.43
S: 0.7500 0.4497 0.3767  2 Cr 2.35
S: 0.2500 0.4650 0.1168  4 Cr 2.42-2.48
S: 0.2500 0.2899 0.7480  3 Cr 2.40-2.43
S: 0.7500 0.9497 0.1233  2 Cr 2.35
S: 0.7500 0.0350 0.6168  4 Cr 2.42-2.48
S: 0.7500 0.7643 0.5402  3 Cr 2.37-2.42
S: 0.2500 0.7899 0.7520  3 Cr 2.40-2.43
S: 0.7500 0.2643 0.9598  3 Cr 2.37-2.42
S: 0.2500 0.5503 0.6233  2 Cr 2.35
S: 0.2500 0.0503 0.8767  2 Cr 2.35
S: 0.7500 0.7101 0.2520  3 Cr 2.40-2.43
S: 0.7500 0.5350 0.8832  4 Cr 2.42-2.48
S: 0.2500 0.2357 0.4598  3 Cr 2.37-2.42
Cr: 0.7500 0.6510 0.7104  6 S 2.35-2.47
Cr: 0.2500 0.8960 0.5798  6 S 2.37-2.48
Cr: 0.2500 0.3960 0.9202  6 S 2.37-2.48
Cr: 0.7500 0.6040 0.0798  6 S 2.37-2.48
Cr: 0.7500 0.1510 0.7896  6 S 2.35-2.47
Cr: 0.7500 0.1040 0.4202  6 S 2.37-2.48
Cr: 0.2500 0.8490 0.2104  6 S 2.35-2.47
Cr: 0.2500 0.3490 0.2896  6 S 2.35-2.47
Ag: 0.2500 0.1301 0.0908  7 S 2.72-2.82
Ag: 0.2500 0.6301 0.4092  7 S 2.72-2.82
Ag: 0.7500 0.3699 0.5908  7 S 2.72-2.82
Ag: 0.7500 0.8699 0.9092  7 S 2.72-2.82

Values from the calculation:
E above lowest polymorph in meV/atom: 114.3
Space group: No. 62
Corrected total energy (MP2020 scheme) in eV per atom: -6.247
M_tot in μB/f.u.: 5.00
E_form in eV/atom: -0.721

[8]
DFT (PBE-GGA) results for a relaxed structure of Cr2AgS4.

abc: 3.4699 5.9481 6.3828
angles: 88.15 90.00 90.00
Last column: nearest neighbours and their distance in Å.
Atoms (fractional coordinates):
S: 0.5000 0.8256 0.2090  3 Cr 2.39-2.40
S: 0.5000 0.1744 0.7910  3 Cr 2.39-2.40
S: 0.0000 0.6699 0.7940  3 Cr 2.38-2.40
S: 0.0000 0.3301 0.2060  3 Cr 2.38-2.40
Cr: 0.0000 0.0000 0.0000  6 S 2.40
Cr: 0.5000 0.5000 0.0000  6 S 2.38-2.39
Ag: 0.0000 0.0000 0.5000  6 S 2.67-2.77

Values from the calculation:
E above lowest polymorph in meV/atom: 49.8
Space group: No. 10
Corrected total energy (MP2020 scheme) in eV per atom: -6.312
M_tot in μB/f.u.: 5.00
E_form in eV/atom: -0.786